DFT (GGA-PBE) results for an optimized crystal structure of Ho2Zn17.

Output
**Spin magnetization**: 0.0 μB/f.u.
**ΔH_f (0 K)**: -0.23 eV per atom

Cell: 9.065 9.065 8.650 Å, 90.00 90.00 120.00°
Sites, in units of the cell vectors:
Ho 0.000 0.000 0.250
Ho 0.000 0.000 0.750
Ho 0.333 0.667 0.250
Ho 0.667 0.333 0.750
Zn 0.000 0.500 0.000
Zn 0.000 0.500 0.500
Zn 0.031 0.360 0.750
Zn 0.031 0.671 0.750
Zn 0.161 0.322 0.017
Zn 0.161 0.322 0.483
Zn 0.161 0.839 0.017
Zn 0.161 0.839 0.483
Zn 0.322 0.161 0.517
Zn 0.322 0.161 0.983
Zn 0.329 0.360 0.750
Zn 0.329 0.969 0.750
Zn 0.333 0.667 0.597
Zn 0.333 0.667 0.903
Zn 0.360 0.031 0.250
Zn 0.360 0.329 0.250
Zn 0.500 0.000 0.000
Zn 0.500 0.000 0.500
Zn 0.500 0.500 0.000
Zn 0.500 0.500 0.500
Zn 0.640 0.671 0.750
Zn 0.640 0.969 0.750
Zn 0.667 0.333 0.097
Zn 0.667 0.333 0.403
Zn 0.671 0.031 0.250
Zn 0.671 0.640 0.250
Zn 0.678 0.839 0.017
Zn 0.678 0.839 0.483
Zn 0.839 0.161 0.517
Zn 0.839 0.161 0.983
Zn 0.839 0.678 0.517
Zn 0.839 0.678 0.983
Zn 0.969 0.329 0.250
Zn 0.969 0.640 0.250